#one
## MgAg2Br2O4 (PBE)

Data for MgAg2Br2O4 after structural relaxation.

Results
Symmetry: No. 1

a b c (Å): 3.690 4.031 12.420
angles (deg): 80.70 89.94 89.74
Fractional coordinates of all 9 atoms:
Mg1 0.000 0.000 0.000
Ag1 0.250 0.474 0.551
Ag2 0.750 0.974 0.551
Br1 0.501 0.810 0.376
Br2 0.999 0.137 0.727
O1 0.000 0.592 0.136
O2 0.500 0.341 0.970
O3 0.500 0.689 0.970
O4 0.999 0.273 0.136



#two
## MgAg2Br2O4 (PBE)

Data for MgAg2Br2O4 after structural relaxation.

Results
Symmetry: No. 1

a b c (Å): 3.696 5.037 12.150
angles (deg): 78.95 85.79 87.73
Fractional coordinates of all 9 atoms:
Mg1 0.000 0.000 0.000
Ag1 0.219 0.529 0.435
Ag2 0.727 0.035 0.435
Br1 0.472 0.692 0.598
Br2 0.982 0.371 0.268
O1 0.485 0.128 0.038
O2 0.500 0.837 0.036
O3 0.938 0.210 0.834
O4 0.951 0.950 0.833



#three
## MgAg2Br2O4 (PBE)

Data for MgAg2Br2O4 after structural relaxation.

Results
Symmetry: No. 6

a b c (Å): 4.363 3.782 10.518
angles (deg): 90.00 99.45 90.00
Fractional coordinates of all 9 atoms:
Mg1 0.000 0.000 0.000
Ag1 0.310 0.500 0.288
Ag2 0.952 0.000 0.548
Br1 0.453 0.500 0.554
Br2 0.799 0.000 0.262
O1 0.049 0.000 0.796
O2 0.176 0.500 0.053
O3 0.332 0.000 0.860
O4 0.845 0.500 0.990



Tell me which of them is the most stable. Sure, it is #one.



#one
## KAgCO3 (PBE)

Data for KAgCO3 after structural relaxation.

Results
Symmetry: No. 1

a b c (Å): 5.913 5.983 11.020
angles (deg): 105.67 104.42 90.14
Fractional coordinates of all 24 atoms:
K1 0.000 0.000 0.000
K2 0.141 0.637 0.281
K3 0.498 0.496 0.998
K4 0.639 0.140 0.283
Ag1 0.220 0.062 0.641
Ag2 0.423 0.579 0.637
Ag3 0.721 0.058 0.643
Ag4 0.921 0.555 0.638
C1 0.192 0.192 0.392
C2 0.447 0.943 0.889
C3 0.693 0.693 0.391
C4 0.947 0.443 0.890
O1 0.007 0.505 0.015
O2 0.023 0.252 0.826
O3 0.114 0.382 0.455
O4 0.132 0.129 0.266
O5 0.311 0.753 0.825
O6 0.332 0.068 0.455
O7 0.503 0.004 0.015
O8 0.525 0.074 0.828
O9 0.612 0.565 0.453
O10 0.635 0.631 0.266
O11 0.811 0.571 0.827
O12 0.831 0.881 0.455



#two
## KAgCO3 (PBE)

Data for KAgCO3 after structural relaxation.

Results
Symmetry: No. 73

a b c (Å): 11.056 11.056 11.056
angles (deg): 149.26 148.84 44.34
Fractional coordinates of all 24 atoms:
K1 0.070 0.320 0.750
K2 0.430 0.180 0.250
K3 0.570 0.820 0.750
K4 0.930 0.680 0.250
Ag1 0.133 0.250 0.383
Ag2 0.367 0.750 0.117
Ag3 0.633 0.250 0.883
Ag4 0.867 0.750 0.617
C1 0.127 0.877 0.250
C2 0.373 0.623 0.750
C3 0.627 0.377 0.250
C4 0.873 0.123 0.750
O1 0.036 0.758 0.977
O2 0.064 0.814 0.250
O3 0.219 0.742 0.778
O4 0.281 0.059 0.523
O5 0.436 0.686 0.750
O6 0.464 0.441 0.722
O7 0.536 0.559 0.278
O8 0.564 0.314 0.250
O9 0.719 0.941 0.477
O10 0.781 0.258 0.222
O11 0.936 0.186 0.750
O12 0.964 0.242 0.023



Tell me which of them is the most stable. Sure, it is #one.



#one
## Ag2CO3 (PBE)

Data for Ag2CO3 after structural relaxation.

Results
Symmetry: No. 11

a b c (Å): 3.357 9.782 5.032
angles (deg): 90.00 97.19 90.00
Fractional coordinates of all 12 atoms:
Ag1 0.239 0.070 0.202
Ag2 0.239 0.430 0.202
Ag3 0.761 0.570 0.798
Ag4 0.761 0.930 0.798
C1 0.190 0.750 0.283
C2 0.810 0.250 0.717
O1 0.004 0.250 0.960
O2 0.285 0.635 0.403
O3 0.285 0.865 0.403
O4 0.715 0.135 0.597
O5 0.715 0.365 0.597
O6 0.996 0.750 0.040



#two
## Ag2CO3 (PBE)

Data for Ag2CO3 after structural relaxation.

Results
Symmetry: No. 46

a b c (Å): 9.787 9.787 9.787
angles (deg): 139.37 71.38 124.08
Fractional coordinates of all 36 atoms:
Ag1 0.000 0.000 0.000
Ag2 0.000 0.500 0.500
Ag3 0.319 0.387 0.432
Ag4 0.326 0.490 0.837
Ag5 0.326 0.989 0.337
Ag6 0.333 0.897 0.936
Ag7 0.653 0.489 0.163
Ag8 0.653 0.990 0.663
Ag9 0.691 0.445 0.747
Ag10 0.698 0.945 0.253
Ag11 0.955 0.887 0.568
Ag12 0.962 0.397 0.064
C1 0.326 0.076 0.750
C2 0.326 0.576 0.250
C3 0.660 0.326 0.333
C4 0.660 0.827 0.834
C5 0.993 0.327 0.667
C6 0.993 0.826 0.166
O1 0.047 0.298 0.745
O2 0.047 0.802 0.249
O3 0.099 0.461 0.641
O4 0.099 0.958 0.138
O5 0.163 0.449 0.214
O6 0.235 0.949 0.786
O7 0.254 0.086 0.668
O8 0.399 0.694 0.204
O9 0.418 0.586 0.332
O10 0.490 0.194 0.796
O11 0.553 0.302 0.255
O12 0.553 0.798 0.751
O13 0.606 0.217 0.385
O14 0.606 0.721 0.888
O15 0.820 0.458 0.359
O16 0.820 0.961 0.862
O17 0.832 0.221 0.615
O18 0.832 0.717 0.112



Tell me which of them is the most stable. Sure, it is #one.



#one
## CaSi2Ag8O8 (PBE)

Data for CaSi2Ag8O8 after structural relaxation.

Results
Symmetry: No. 81

a b c (Å): 7.562 7.562 5.713
angles (deg): 90.00 90.00 90.00
Fractional coordinates of all 19 atoms:
Ca1 0.000 0.000 0.000
Si1 0.000 0.000 0.500
Si2 0.500 0.500 0.000
Ag1 0.141 0.622 0.862
Ag2 0.256 0.369 0.516
Ag3 0.369 0.744 0.484
Ag4 0.378 0.141 0.138
Ag5 0.622 0.859 0.138
Ag6 0.631 0.256 0.484
Ag7 0.744 0.631 0.516
Ag8 0.859 0.378 0.862
O1 0.041 0.169 0.678
O2 0.169 0.959 0.322
O3 0.317 0.526 0.162
O4 0.474 0.317 0.838
O5 0.526 0.683 0.838
O6 0.683 0.474 0.162
O7 0.831 0.041 0.322
O8 0.959 0.831 0.678



#two
## CaSi2Ag8O8 (PBE)

Data for CaSi2Ag8O8 after structural relaxation.

Results
Symmetry: No. 3

a b c (Å): 6.935 6.263 7.482
angles (deg): 90.00 92.57 90.00
Fractional coordinates of all 19 atoms:
Ca1 0.000 0.000 0.000
Si1 0.000 0.233 0.500
Si2 0.500 0.976 0.000
Ag1 0.306 0.535 0.789
Ag2 0.314 0.934 0.613
Ag3 0.332 0.700 0.322
Ag4 0.375 0.254 0.329
Ag5 0.625 0.254 0.671
Ag6 0.668 0.700 0.678
Ag7 0.686 0.934 0.387
Ag8 0.694 0.535 0.211
O1 0.007 0.088 0.313
O2 0.191 0.396 0.516
O3 0.304 0.824 0.029
O4 0.416 0.146 0.846
O5 0.584 0.146 0.154
O6 0.696 0.824 0.971
O7 0.809 0.396 0.484
O8 0.993 0.088 0.687



Tell me which of them is the most stable. Sure, it is #two.



#one
## AgS8N9Cl2O12 (PBE)

Data for AgS8N9Cl2O12 after structural relaxation.

Results
Symmetry: No. 122

a b c (Å): 12.977 12.977 12.977
angles (deg): 106.63 106.63 115.32
Fractional coordinates of all 64 atoms:
Ag1 0.000 0.000 0.000
Ag2 0.750 0.250 0.500
S1 0.018 0.137 0.246
S2 0.058 0.363 0.237
S3 0.113 0.308 0.737
S4 0.125 0.820 0.763
S5 0.180 0.942 0.305
S6 0.227 0.982 0.119
S7 0.523 0.142 0.254
S8 0.570 0.375 0.263
S9 0.625 0.887 0.195
S10 0.637 0.875 0.695
S11 0.692 0.430 0.805
S12 0.732 0.477 0.619
S13 0.858 0.113 0.381
S14 0.863 0.108 0.881
S15 0.887 0.268 0.746
S16 0.892 0.773 0.754
N1 0.012 0.576 0.198
N2 0.149 0.149 0.000
N3 0.187 0.988 0.565
N4 0.250 0.750 0.500
N5 0.326 0.262 0.698
N6 0.372 0.674 0.935
N7 0.375 0.060 0.185
N8 0.378 0.813 0.802
N9 0.424 0.622 0.435
N10 0.500 0.500 0.000
N11 0.563 0.628 0.302
N12 0.601 0.101 0.500
N13 0.738 0.437 0.065
N14 0.810 0.625 0.685
N15 0.851 0.851 0.000
N16 0.875 0.190 0.815
N17 0.899 0.399 0.500
N18 0.940 0.125 0.315
Cl1 0.226 0.125 0.601
Cl2 0.375 0.774 0.899
Cl3 0.524 0.625 0.399
Cl4 0.875 0.476 0.101
O1 0.045 0.896 0.246
O2 0.058 0.171 0.695
O3 0.079 0.782 0.635
O4 0.100 0.354 0.648
O5 0.104 0.350 0.148
O6 0.113 0.726 0.805
O7 0.147 0.443 0.365
O8 0.193 0.397 0.865
O9 0.202 0.955 0.852
O10 0.218 0.853 0.296
O11 0.274 0.079 0.387
O12 0.476 0.363 0.305
O13 0.532 0.329 0.135
O14 0.548 0.900 0.254
O15 0.557 0.921 0.704
O16 0.603 0.468 0.796
O17 0.637 0.942 0.113
O18 0.646 0.295 0.746
O19 0.650 0.798 0.754
O20 0.671 0.807 0.204
O21 0.692 0.887 0.613
O22 0.705 0.452 0.352
O23 0.829 0.524 0.887
O24 0.921 0.308 0.195



#two
## AgS8N9Cl2O12 (PBE)

Data for AgS8N9Cl2O12 after structural relaxation.

Results
Symmetry: No. 122

a b c (Å): 12.477 12.477 12.477
angles (deg): 109.69 109.69 109.03
Fractional coordinates of all 64 atoms:
Ag1 0.000 0.000 0.000
Ag2 0.750 0.250 0.500
S1 0.030 0.401 0.201
S2 0.065 0.190 0.309
S3 0.151 0.280 0.701
S4 0.171 0.970 0.371
S5 0.200 0.829 0.799
S6 0.244 0.935 0.125
S7 0.506 0.131 0.191
S8 0.550 0.849 0.129
S9 0.579 0.450 0.299
S10 0.599 0.800 0.629
S11 0.685 0.494 0.625
S12 0.720 0.421 0.871
S13 0.810 0.119 0.875
S14 0.869 0.060 0.375
S15 0.881 0.756 0.691
S16 0.940 0.315 0.809
N1 0.144 0.144 0.000
N2 0.250 0.750 0.500
N3 0.259 0.014 0.541
N4 0.277 0.236 0.744
N5 0.283 0.741 0.756
N6 0.375 0.036 0.161
N7 0.467 0.723 0.959
N8 0.473 0.717 0.459
N9 0.491 0.533 0.256
N10 0.500 0.500 0.000
N11 0.606 0.106 0.500
N12 0.764 0.509 0.041
N13 0.786 0.625 0.661
N14 0.856 0.856 0.000
N15 0.875 0.214 0.839
N16 0.894 0.394 0.500
N17 0.964 0.125 0.339
N18 0.986 0.527 0.244
Cl1 0.303 0.125 0.678
Cl2 0.375 0.697 0.822
Cl3 0.447 0.625 0.322
Cl4 0.875 0.553 0.178
O1 0.034 0.154 0.639
O2 0.034 0.918 0.333
O3 0.082 0.416 0.117
O4 0.107 0.791 0.667
O5 0.124 0.440 0.333
O6 0.145 0.764 0.861
O7 0.166 0.332 0.617
O8 0.190 0.374 0.833
O9 0.209 0.876 0.316
O10 0.236 0.096 0.380
O11 0.299 0.966 0.883
O12 0.451 0.834 0.167
O13 0.514 0.395 0.361
O14 0.541 0.357 0.167
O15 0.560 0.893 0.684
O16 0.584 0.701 0.667
O17 0.605 0.966 0.120
O18 0.626 0.459 0.816
O19 0.643 0.810 0.184
O20 0.668 0.284 0.833
O21 0.716 0.549 0.383
O22 0.716 0.855 0.620
O23 0.846 0.486 0.880
O24 0.904 0.284 0.139



Tell me which of them is the most stable. Sure, it is #two.